Record 1
Compound: TlSbO3
Source: the Materials Project database
Functional: GGA-PBE
Structure: relaxed

a = 5.4137 Å, b = 5.4137 Å, c = 15.0438 Å
α = 90.00°, β = 90.00°, γ = 120.00°
Sites, in units of the cell vectors:
Tl 0.3333 0.6667 0.0737
Tl 0.3333 0.6667 0.4263
Tl 0.6667 0.3333 0.5737
Tl 0.6667 0.3333 0.9263
Sb 0.0000 0.0000 0.2500
Sb 0.0000 0.0000 0.7500
Sb 0.3333 0.6667 0.7500
Sb 0.6667 0.3333 0.2500
O 0.0509 0.3333 0.6748
O 0.0509 0.7176 0.8252
O 0.2824 0.3333 0.8252
O 0.2824 0.9491 0.6748
O 0.3333 0.0509 0.1748
O 0.3333 0.2824 0.3252
O 0.6667 0.7176 0.6748
O 0.6667 0.9491 0.8252
O 0.7176 0.0509 0.3252
O 0.7176 0.6667 0.1748
O 0.9491 0.2824 0.1748
O 0.9491 0.6667 0.3252

Record 2
Compound: TlSbO3
Source: the Materials Project database
Functional: GGA-PBE
Structure: relaxed

a = 5.4030 Å, b = 5.4030 Å, c = 16.2438 Å
α = 90.00°, β = 90.00°, γ = 120.00°
Sites, in units of the cell vectors:
Tl 0.3333 0.6667 0.0547
Tl 0.3333 0.6667 0.4453
Tl 0.6667 0.3333 0.5547
Tl 0.6667 0.3333 0.9453
Sb 0.0000 0.0000 0.2500
Sb 0.0000 0.0000 0.7500
Sb 0.3333 0.6667 0.2500
Sb 0.6667 0.3333 0.7500
O 0.0641 0.3361 0.1777
O 0.0641 0.7280 0.3223
O 0.2720 0.3361 0.3223
O 0.2720 0.9359 0.1777
O 0.3361 0.0641 0.8223
O 0.3361 0.2720 0.6777
O 0.6639 0.7280 0.1777
O 0.6639 0.9359 0.3223
O 0.7280 0.0641 0.6777
O 0.7280 0.6639 0.8223
O 0.9359 0.2720 0.8223
O 0.9359 0.6639 0.6777

Record 3
Compound: Tm2Sb2O7
Source: the Materials Project database
Functional: GGA-PBE
Structure: relaxed

Computed properties:
- E above lowest polymorph: 0.046 eV/atom

a = 7.5324 Å, b = 7.5324 Å, c = 7.5324 Å
α = 91.06°, β = 119.95°, γ = 118.84°
Sites, in units of the cell vectors:
Tm 0.0000 0.0000 0.0000
Tm 0.0000 0.5000 0.5000
Tm 0.0380 0.9967 0.5413
Tm 0.4554 0.4967 0.4587
Sb 0.4846 0.9915 0.9932
Sb 0.5230 0.0230 0.5000
Sb 0.5230 0.5230 0.0000
Sb 0.9983 0.4915 0.0068
O 0.1919 0.3608 0.0854
O 0.1919 0.6065 0.3311
O 0.2388 0.7413 0.9975
O 0.2523 0.1228 0.3658
O 0.2523 0.3866 0.6295
O 0.2754 0.1065 0.9146
O 0.2754 0.8608 0.6689
O 0.6806 0.1341 0.3166
O 0.6806 0.8640 0.0465
O 0.7438 0.2413 0.0025
O 0.7571 0.6228 0.3705
O 0.7571 0.8866 0.6342
O 0.8175 0.3640 0.6834
O 0.8175 0.6341 0.9535

Record 4
Compound: Tm3Sb5O12
Source: the Materials Project database
Functional: GGA-PBE
Structure: relaxed

a = 9.3576 Å, b = 9.3576 Å, c = 9.3576 Å
α = 109.47°, β = 109.47°, γ = 109.47°
Sites, in units of the cell vectors:
Tm 0.2500 0.5000 0.7500
Tm 0.2500 0.7500 0.5000
Tm 0.5000 0.2500 0.7500
Tm 0.5000 0.7500 0.2500
Tm 0.7500 0.2500 0.5000
Tm 0.7500 0.5000 0.2500
Sb 0.0000 0.0000 0.5180
Sb 0.0000 0.2839 0.2839
Sb 0.0000 0.5180 0.0000
Sb 0.0000 0.7161 0.7161
Sb 0.2839 0.0000 0.2839
Sb 0.2839 0.2839 0.0000
Sb 0.4820 0.4820 0.4820
Sb 0.5180 0.0000 0.0000
Sb 0.7161 0.0000 0.7161
Sb 0.7161 0.7161 0.0000
O 0.0000 0.2028 0.4815
O 0.0000 0.4815 0.2028
O 0.0000 0.4994 0.7028
O 0.0000 0.7028 0.4994
O 0.2028 0.0000 0.4815
O 0.2028 0.4815 0.0000
O 0.2034 0.5006 0.5006
O 0.2787 0.7972 0.7972
O 0.2972 0.2972 0.7966
O 0.2972 0.7966 0.2972
O 0.4815 0.0000 0.2028
O 0.4815 0.2028 0.0000
O 0.4994 0.0000 0.7028
O 0.4994 0.7028 0.0000
O 0.5006 0.2034 0.5006
O 0.5006 0.5006 0.2034
O 0.5185 0.5185 0.7213
O 0.5185 0.7213 0.5185
O 0.7028 0.0000 0.4994
O 0.7028 0.4994 0.0000
O 0.7213 0.5185 0.5185
O 0.7972 0.2787 0.7972
O 0.7966 0.2972 0.2972
O 0.7972 0.7972 0.2787

Record 5
Compound: TmSbO4
Source: the Materials Project database
Functional: GGA-PBE
Structure: relaxed

a = 7.6241 Å, b = 5.3302 Å, c = 7.5118 Å
α = 90.00°, β = 98.59°, γ = 90.00°
Sites, in units of the cell vectors:
Tm 0.1466 0.2267 0.3834
Tm 0.1466 0.2733 0.8834
Tm 0.8534 0.7267 0.1166
Tm 0.8534 0.7733 0.6166
Sb 0.3369 0.7345 0.1925
Sb 0.3369 0.7655 0.6925
Sb 0.6631 0.2345 0.3075
Sb 0.6631 0.2655 0.8075
O 0.1108 0.5316 0.1805
O 0.1108 0.9684 0.6805
O 0.1819 0.0224 0.1165
O 0.1819 0.4776 0.6165
O 0.3259 0.6118 0.9374
O 0.3259 0.8882 0.4374
O 0.4293 0.0937 0.8092
O 0.4293 0.4063 0.3092
O 0.5707 0.5937 0.6908
O 0.5707 0.9063 0.1908
O 0.6741 0.1118 0.5626
O 0.6741 0.3882 0.0626
O 0.8181 0.5224 0.3835
O 0.8181 0.9776 0.8835
O 0.8892 0.0316 0.3195
O 0.8892 0.4684 0.8195

Record 6
Compound: Tm3SbO7
Source: the Materials Project database
Functional: GGA-PBE
Structure: relaxed

a = 6.4057 Å, b = 6.4057 Å, c = 7.4237 Å
α = 90.00°, β = 90.00°, γ = 109.15°
Sites, in units of the cell vectors:
Tm 0.0148 0.0148 0.0000
Tm 0.0317 0.5006 0.2528
Tm 0.4994 0.9683 0.2472
Tm 0.5006 0.0317 0.7472
Tm 0.9683 0.4994 0.7528
Tm 0.9852 0.9852 0.5000
Sb 0.5000 0.5000 0.0000
Sb 0.5000 0.5000 0.5000
O 0.1301 0.8699 0.7500
O 0.1386 0.8614 0.2500
O 0.1726 0.4210 0.9721
O 0.1787 0.4346 0.5341
O 0.4210 0.1726 0.0279
O 0.4260 0.5740 0.2500
O 0.4346 0.1787 0.4659
O 0.5654 0.8213 0.9659
O 0.5740 0.4260 0.7500
O 0.5790 0.8274 0.5279
O 0.8213 0.5654 0.0341
O 0.8274 0.5790 0.4721
O 0.8614 0.1386 0.7500
O 0.8699 0.1301 0.2500

Record 7
Compound: Tm2Sb2O7
Source: the Materials Project database
Functional: GGA-PBE
Structure: relaxed

Computed properties:
- E above lowest polymorph: 0.000 eV/atom

a = 7.5059 Å, b = 7.5059 Å, c = 18.3205 Å
α = 90.00°, β = 90.00°, γ = 120.00°
Sites, in units of the cell vectors:
Tm 0.0000 0.8328 0.1667
Tm 0.0000 0.8404 0.6667
Tm 0.1596 0.1596 0.0000
Tm 0.1672 0.1672 0.5000
Tm 0.1778 0.6823 0.0114
Tm 0.3177 0.4955 0.3447
Tm 0.4955 0.3177 0.6553
Tm 0.5045 0.8222 0.6781
Tm 0.6823 0.1778 0.9886
Tm 0.8222 0.5045 0.3219
Tm 0.8328 0.0000 0.8333
Tm 0.8404 0.0000 0.3333
Sb 0.0000 0.3103 0.6667
Sb 0.0000 0.3236 0.1667
Sb 0.1696 0.6701 0.5015
Sb 0.3103 0.0000 0.3333
Sb 0.3236 0.0000 0.8333
Sb 0.3299 0.4994 0.8348
Sb 0.4994 0.3299 0.1652
Sb 0.5006 0.8304 0.1682
Sb 0.6701 0.1696 0.4985
Sb 0.6764 0.6764 0.5000
Sb 0.6897 0.6897 0.0000
Sb 0.8304 0.5006 0.8318
O 0.0073 0.3331 0.2903
O 0.0188 0.8218 0.5306
O 0.0226 0.8531 0.2842
O 0.0643 0.4641 0.8023
O 0.1037 0.6556 0.3941
O 0.1469 0.1695 0.6176
O 0.1695 0.1469 0.3824
O 0.1782 0.1970 0.8640
O 0.1970 0.1782 0.1360
O 0.2004 0.6889 0.1392
O 0.2402 0.6919 0.6069
O 0.3081 0.5483 0.9402
O 0.3111 0.5115 0.4726
O 0.3258 0.9927 0.9569
O 0.3331 0.0073 0.7097
O 0.3444 0.4480 0.7275
O 0.3998 0.9357 0.4689
O 0.4480 0.3444 0.2725
O 0.4517 0.7598 0.2735
O 0.4641 0.0643 0.1977
O 0.4885 0.7996 0.8059
O 0.5115 0.3111 0.5274
O 0.5359 0.6002 0.1356
O 0.5483 0.3081 0.0598
O 0.5520 0.8963 0.0608
O 0.6002 0.5359 0.8644
O 0.6556 0.1037 0.6059
O 0.6669 0.6742 0.6236
O 0.6742 0.6669 0.3764
O 0.6889 0.2004 0.8608
O 0.6919 0.2402 0.3931
O 0.7598 0.4517 0.7265
O 0.7996 0.4885 0.1941
O 0.8030 0.9812 0.1973
O 0.8218 0.0188 0.4694
O 0.8305 0.9774 0.9509
O 0.8531 0.0226 0.7158
O 0.8963 0.5520 0.9392
O 0.9357 0.3998 0.5311
O 0.9774 0.8305 0.0491
O 0.9812 0.8030 0.8027
O 0.9927 0.3258 0.0431

Record 8
Compound: TmSbO4
Source: the Materials Project database
Functional: GGA-PBE
Structure: relaxed

a = 5.3461 Å, b = 7.5250 Å, c = 7.6281 Å
α = 81.16°, β = 88.49°, γ = 89.07°
Sites, in units of the cell vectors:
Tm 0.2176 0.3858 0.3438
Tm 0.2588 0.8746 0.3573
Tm 0.7412 0.1254 0.6427
Tm 0.7824 0.6142 0.6562
Sb 0.2386 0.3075 0.8396
Sb 0.2667 0.8089 0.8318
Sb 0.7333 0.1911 0.1682
Sb 0.7614 0.6925 0.1604
O 0.0173 0.1167 0.3240
O 0.0431 0.3291 0.6128
O 0.0872 0.8119 0.0660
O 0.1166 0.5618 0.8339
O 0.3906 0.0610 0.8176
O 0.4012 0.3000 0.0744
O 0.4604 0.6164 0.3015
O 0.4651 0.8072 0.6043
O 0.5349 0.1928 0.3957
O 0.5396 0.3836 0.6985
O 0.5988 0.7000 0.9256
O 0.6094 0.9390 0.1824
O 0.8834 0.4382 0.1661
O 0.9128 0.1880 0.9340
O 0.9569 0.6709 0.3872
O 0.9827 0.8833 0.6760

Record 9
Compound: YSbO3
Source: the Materials Project database
Functional: GGA-PBE
Structure: relaxed

a = 3.7750 Å, b = 3.7750 Å, c = 12.8595 Å
α = 90.00°, β = 90.00°, γ = 120.00°
Sites, in units of the cell vectors:
Y 0.0000 0.0000 0.0000
Y 0.0000 0.0000 0.5000
Sb 0.3333 0.6667 0.2500
Sb 0.6667 0.3333 0.7500
O 0.0000 0.0000 0.2500
O 0.0000 0.0000 0.7500
O 0.3333 0.6667 0.0745
O 0.3333 0.6667 0.4255
O 0.6667 0.3333 0.5745
O 0.6667 0.3333 0.9255

Record 10
Compound: YSbO3
Source: the Materials Project database
Functional: GGA-PBE
Structure: relaxed

a = 4.2504 Å, b = 4.2504 Å, c = 4.2504 Å
α = 90.00°, β = 90.00°, γ = 90.00°
Sites, in units of the cell vectors:
Y 0.0000 0.0000 0.0000
Sb 0.5000 0.5000 0.5000
O 0.0000 0.5000 0.5000
O 0.5000 0.0000 0.5000
O 0.5000 0.5000 0.0000

Record 11
Compound: Y2Sb2O7
Source: the Materials Project database
Functional: GGA-PBE
Structure: relaxed

a = 7.5477 Å, b = 7.5477 Å, c = 7.5477 Å
α = 60.00°, β = 60.00°, γ = 60.00°
Sites, in units of the cell vectors:
Y 0.0000 0.0000 0.0000
Y 0.0000 0.0000 0.5000
Y 0.0000 0.5000 0.0000
Y 0.5000 0.0000 0.0000
Sb 0.0000 0.5000 0.5000
Sb 0.5000 0.0000 0.5000
Sb 0.5000 0.5000 0.0000
Sb 0.5000 0.5000 0.5000
O 0.1250 0.1250 0.1250
O 0.1570 0.1570 0.5930
O 0.1570 0.5930 0.1570
O 0.1570 0.5930 0.5930
O 0.4070 0.4070 0.8430
O 0.4070 0.8430 0.4070
O 0.4070 0.8430 0.8430
O 0.5930 0.1570 0.1570
O 0.5930 0.1570 0.5930
O 0.5930 0.5930 0.1570
O 0.8430 0.4070 0.4070
O 0.8430 0.4070 0.8430
O 0.8430 0.8430 0.4070
O 0.8750 0.8750 0.8750

Record 12
Compound: Y3Sb5O12
Source: the Materials Project database
Functional: GGA-PBE
Structure: relaxed

a = 9.4377 Å, b = 9.4377 Å, c = 9.4377 Å
α = 109.47°, β = 109.47°, γ = 109.47°
Sites, in units of the cell vectors:
Y 0.2500 0.5000 0.7500
Y 0.2500 0.7500 0.5000
Y 0.5000 0.2500 0.7500
Y 0.5000 0.7500 0.2500
Y 0.7500 0.2500 0.5000
Y 0.7500 0.5000 0.2500
Sb 0.0000 0.0000 0.4848
Sb 0.0000 0.2832 0.2832
Sb 0.0000 0.4848 0.0000
Sb 0.0000 0.7168 0.7168
Sb 0.2832 0.0000 0.2832
Sb 0.2832 0.2832 0.0000
Sb 0.4848 0.0000 0.0000
Sb 0.5152 0.5152 0.5152
Sb 0.7168 0.0000 0.7168
Sb 0.7168 0.7168 0.0000
O 0.0000 0.2965 0.4974
O 0.0000 0.4974 0.2965
O 0.0000 0.5212 0.7996
O 0.0000 0.7996 0.5212
O 0.2004 0.2004 0.7216
O 0.2004 0.7216 0.2004
O 0.2009 0.7035 0.7035
O 0.2784 0.4788 0.4788
O 0.2965 0.0000 0.4974
O 0.2965 0.4974 0.0000
O 0.4788 0.2784 0.4788
O 0.4788 0.4788 0.2784
O 0.4974 0.0000 0.2965
O 0.4974 0.2965 0.0000
O 0.5026 0.5026 0.7991
O 0.5026 0.7991 0.5026
O 0.5212 0.0000 0.7996
O 0.5212 0.7996 0.0000
O 0.7035 0.2009 0.7035
O 0.7035 0.7035 0.2009
O 0.7216 0.2004 0.2004
O 0.7991 0.5026 0.5026
O 0.7996 0.0000 0.5212
O 0.7996 0.5212 0.0000

Number 1: corrected total energy (MP2020 scheme) -5.982 eV per atom, ΔE_f -1.71 eV/atom. Number 2: corrected total energy (MP2020 scheme) -5.847 eV per atom, ΔE_f -1.58 eV/atom. Number 3: corrected total energy (MP2020 scheme) -7.507 eV per atom, ΔE_f -2.79 eV/atom. Number 4: corrected total energy (MP2020 scheme) -7.355 eV per atom, ΔE_f -2.68 eV/atom. Number 5: corrected total energy (MP2020 scheme) -7.622 eV per atom, ΔE_f -2.89 eV/atom. Number 6: corrected total energy (MP2020 scheme) -8.209 eV per atom, ΔE_f -3.46 eV/atom. Number 7: corrected total energy (MP2020 scheme) -7.553 eV per atom, ΔE_f -2.84 eV/atom. Number 8: corrected total energy (MP2020 scheme) -7.620 eV per atom, ΔE_f -2.89 eV/atom. Number 9: corrected total energy (MP2020 scheme) -7.746 eV per atom, ΔE_f -2.66 eV/atom. Number 10: corrected total energy (MP2020 scheme) -7.006 eV per atom, ΔE_f -1.92 eV/atom. Number 11: corrected total energy (MP2020 scheme) -7.788 eV per atom, ΔE_f -2.71 eV/atom. Number 12: corrected total energy (MP2020 scheme) -7.621 eV per atom, ΔE_f -2.65 eV/atom.